Density functional theory data (PBE-GGA) for an optimized crystal structure of K3Bi2I9.

Lattice parameters (Å, degrees): 8.4348 8.4348 21.7657 93.85 93.85 119.31
Fractional positions:
K 0.0131 0.9869 0.7500
K 0.3065 0.6565 0.0572
K 0.3435 0.6935 0.4428
K 0.6565 0.3065 0.5572
K 0.6935 0.3435 0.9428
K 0.9869 0.0131 0.2500
Bi 0.3017 0.6322 0.8431
Bi 0.3678 0.6983 0.6569
Bi 0.6322 0.3017 0.3431
Bi 0.6983 0.3678 0.1569
I 0.0079 0.4960 0.2797
I 0.0957 0.7646 0.9188
I 0.1053 0.2646 0.8918
I 0.2233 0.3857 0.5592
I 0.2354 0.9043 0.5812
I 0.2646 0.1053 0.3918
I 0.3857 0.2233 0.0592
I 0.4960 0.0079 0.7797
I 0.4972 0.5028 0.2500
I 0.5028 0.4972 0.7500
I 0.5040 0.9921 0.2203
I 0.6143 0.7767 0.9408
I 0.7354 0.8947 0.6082
I 0.7646 0.0957 0.4188
I 0.7767 0.6143 0.4408
I 0.8947 0.7354 0.1082
I 0.9043 0.2354 0.0812
I 0.9921 0.5040 0.7203

Values from the calculation:
Total DFT energy (no corrections) (eV/cell): -74.79
Formation energy from the elements (eV per atom): -1.141

***

Density functional theory data (PBE-GGA) for an optimized crystal structure of LiCu6OF11.

Lattice parameters (Å, degrees): 4.7004 5.4179 9.1285 89.67 88.32 87.09
Fractional positions:
Li 0.0000 0.0000 0.0000
Cu 0.2837 0.8452 0.4711
Cu 0.2909 0.5014 0.7940
Cu 0.3493 0.1918 0.1710
Cu 0.7881 0.6643 0.1586
Cu 0.8050 0.3330 0.4687
Cu 0.8200 0.9784 0.7187
O 0.0052 0.0636 0.5467
F 0.0047 0.3779 0.2329
F 0.0732 0.5685 0.5422
F 0.0909 0.2335 0.8689
F 0.1056 0.8862 0.1949
F 0.4854 0.7725 0.7156
F 0.5017 0.1160 0.3912
F 0.5119 0.4654 0.0696
F 0.5772 0.2867 0.7091
F 0.5782 0.6180 0.3895
F 0.6169 0.9631 0.0676
F 0.9974 0.7349 0.8672

Values from the calculation:
Total DFT energy (no corrections) (eV/cell): -80.44
Formation energy from the elements (eV per atom): -1.774
Polymorph energy (0 for the lowest one) (eV/f.u.): 0.56

***

Density functional theory data (PBE-GGA) for an optimized crystal structure of Rb2NdAgCl6.

Lattice parameters (Å, degrees): 7.7456 7.7456 7.7456 60.00 60.00 60.00
Fractional positions:
Rb 0.2500 0.2500 0.2500
Rb 0.7500 0.7500 0.7500
Nd 0.0000 0.0000 0.0000
Ag 0.5000 0.5000 0.5000
Cl 0.2490 0.2490 0.7510
Cl 0.2490 0.7510 0.2490
Cl 0.2490 0.7510 0.7510
Cl 0.7510 0.2490 0.2490
Cl 0.7510 0.2490 0.7510
Cl 0.7510 0.7510 0.2490

Values from the calculation:
Total DFT energy (no corrections) (eV/cell): -38.52
Formation energy from the elements (eV per atom): -2.155

***

Density functional theory data (PBE-GGA) for an optimized crystal structure of Li3NdGa8.

Lattice parameters (Å, degrees): 4.3397 4.3397 13.7714 90.00 90.00 119.91
Fractional positions:
Li 0.0000 0.0000 0.0000
Li 0.0000 0.0000 0.2448
Li 0.0000 0.0000 0.7552
Nd 0.0000 0.0000 0.5000
Ga 0.3329 0.6671 0.1289
Ga 0.3333 0.6667 0.3546
Ga 0.3333 0.6667 0.6454
Ga 0.3329 0.6671 0.8711
Ga 0.6671 0.3329 0.1289
Ga 0.6667 0.3333 0.3546
Ga 0.6667 0.3333 0.6454
Ga 0.6671 0.3329 0.8711

Values from the calculation:
Total DFT energy (no corrections) (eV/cell): -38.96
Formation energy from the elements (eV per atom): -0.353

***

Density functional theory data (PBE-GGA) for an optimized crystal structure of TaPO5.

Lattice parameters (Å, degrees): 9.1088 7.1237 10.3954 59.20 42.20 78.60
Fractional positions:
Ta 0.2563 0.7437 0.4983
Ta 0.7437 0.2563 0.5017
Ta 0.7483 0.7517 0.5063
Ta 0.7517 0.7483 0.9937
P 0.1588 0.5896 0.9119
P 0.3381 0.9103 0.0912
P 0.5896 0.1588 0.3397
P 0.9103 0.3381 0.6604
O 0.0172 0.3841 0.1593
O 0.0171 0.7604 0.9400
O 0.0907 0.8106 0.2328
O 0.1188 0.4722 0.5615
O 0.1951 0.5265 0.7684
O 0.3100 0.9675 0.2329
O 0.3841 0.0172 0.4394
O 0.4026 0.6885 0.7778
O 0.4722 0.1188 0.8474
O 0.4816 0.7400 0.0549
O 0.5265 0.1951 0.5100
O 0.5461 0.7008 0.2908
O 0.6885 0.4026 0.1312
O 0.7008 0.5461 0.4624
O 0.7400 0.4816 0.7235
O 0.7604 0.0171 0.2825
O 0.7876 0.9592 0.5492
O 0.8106 0.0907 0.8659
O 0.9592 0.7876 0.7039
O 0.9675 0.3100 0.4896

Values from the calculation:
Total DFT energy (no corrections) (eV/cell): -238.02
Formation energy from the elements (eV per atom): -2.990
Polymorph energy (0 for the lowest one) (eV/f.u.): 0.84

***

Density functional theory data (PBE-GGA) for an optimized crystal structure of Dy5Cl11.

Lattice parameters (Å, degrees): 6.6683 33.4159 6.8207 90.00 90.85 90.00
Fractional positions:
Dy 0.0096 0.2500 0.1819
Dy 0.0456 0.5586 0.8792
Dy 0.0456 0.9414 0.8792
Dy 0.0476 0.6437 0.2010
Dy 0.0476 0.8564 0.2010
Dy 0.4449 0.5602 0.3752
Dy 0.4449 0.9398 0.3752
Dy 0.4577 0.6460 0.6951
Dy 0.4577 0.8540 0.6951
Dy 0.4894 0.2500 0.6775
Dy 0.5106 0.7500 0.3225
Dy 0.5423 0.1460 0.3049
Dy 0.5423 0.3540 0.3049
Dy 0.5551 0.0602 0.6248
Dy 0.5551 0.4398 0.6248
Dy 0.9524 0.1436 0.7990
Dy 0.9524 0.3564 0.7990
Dy 0.9544 0.0586 0.1208
Dy 0.9544 0.4414 0.1208
Dy 0.9904 0.7500 0.8181
Cl 0.1119 0.2500 0.8113
Cl 0.1351 0.6028 0.5438
Cl 0.1351 0.8972 0.5438
Cl 0.1704 0.1731 0.1179
Cl 0.1704 0.3269 0.1179
Cl 0.1931 0.0808 0.8234
Cl 0.1931 0.4192 0.8234
Cl 0.1942 0.7013 0.5197
Cl 0.1942 0.7987 0.5197
Cl 0.2245 0.5079 0.1305
Cl 0.2245 0.9921 0.1305
Cl 0.2790 0.5084 0.6303
Cl 0.2790 0.9916 0.6303
Cl 0.3020 0.7012 0.0231
Cl 0.3020 0.7988 0.0231
Cl 0.3133 0.0818 0.3248
Cl 0.3133 0.4182 0.3248
Cl 0.3252 0.1743 0.6150
Cl 0.3252 0.3257 0.6150
Cl 0.3613 0.6028 0.0304
Cl 0.3613 0.8972 0.0304
Cl 0.3965 0.2500 0.2998
Cl 0.6035 0.7500 0.7002
Cl 0.6387 0.1028 0.9696
Cl 0.6387 0.3972 0.9696
Cl 0.6748 0.6743 0.3850
Cl 0.6748 0.8257 0.3850
Cl 0.6867 0.5818 0.6752
Cl 0.6867 0.9182 0.6752
Cl 0.6980 0.2012 0.9769
Cl 0.6980 0.2988 0.9769
Cl 0.7210 0.0084 0.3697
Cl 0.7210 0.4916 0.3697
Cl 0.7755 0.0079 0.8695
Cl 0.7755 0.4921 0.8695
Cl 0.8058 0.2013 0.4803
Cl 0.8058 0.2987 0.4803
Cl 0.8069 0.5808 0.1766
Cl 0.8069 0.9192 0.1766
Cl 0.8296 0.6731 0.8821
Cl 0.8296 0.8269 0.8821
Cl 0.8649 0.1028 0.4562
Cl 0.8649 0.3972 0.4562
Cl 0.8881 0.7500 0.1887

Values from the calculation:
Total DFT energy (no corrections) (eV/cell): -292.83
Formation energy from the elements (eV per atom): -2.287

***

Density functional theory data (PBE-GGA) for an optimized crystal structure of Cs2NaInI6.

Lattice parameters (Å, degrees): 8.6844 8.6844 8.6844 60.00 60.00 60.00
Fractional positions:
Cs 0.2500 0.2500 0.2500
Cs 0.7500 0.7500 0.7500
Na 0.0000 0.0000 0.0000
In 0.5000 0.5000 0.5000
I 0.2596 0.2596 0.7404
I 0.2596 0.7404 0.2596
I 0.2596 0.7404 0.7404
I 0.7404 0.2596 0.2596
I 0.7404 0.2596 0.7404
I 0.7404 0.7404 0.2596

Values from the calculation:
Total DFT energy (no corrections) (eV/cell): -25.64
Formation energy from the elements (eV per atom): -1.291

***

Density functional theory data (PBE-GGA) for an optimized crystal structure of Ba6CaNb2IrCl2O12.

Lattice parameters (Å, degrees): 6.0170 6.0786 16.0751 83.08 89.61 61.30
Fractional positions:
Ba 0.0000 0.0000 0.0000
Ba 0.0047 0.0382 0.7607
Ba 0.1969 0.6176 0.2276
Ba 0.3151 0.4262 0.6310
Ba 0.3429 0.3596 0.8805
Ba 0.8948 0.2322 0.3694
Ca 0.7848 0.3810 0.1554
Nb 0.5378 0.9743 0.1835
Nb 0.6744 0.6947 0.8034
Ir 0.6251 0.7732 0.0019
Cl 0.2819 0.4729 0.4251
Cl 0.9139 0.2149 0.5686
O 0.2072 0.1463 0.2288
O 0.3945 0.8149 0.9031
O 0.4055 0.7976 0.1037
O 0.4467 0.6223 0.7419
O 0.4957 0.0661 0.7544
O 0.5158 0.2446 0.1026
O 0.6689 0.6178 0.2606
O 0.7646 0.0370 0.2538
O 0.8211 0.3471 0.8692
O 0.8482 0.7785 0.9020
O 0.8553 0.7222 0.1041
O 0.9671 0.6041 0.7387

Values from the calculation:
Total DFT energy (no corrections) (eV/cell): -164.91
Formation energy from the elements (eV per atom): -2.813
Polymorph energy (0 for the lowest one) (eV/f.u.): 0.50

***

Density functional theory data (PBE-GGA) for an optimized crystal structure of Pr2In.

Lattice parameters (Å, degrees): 5.6162 5.6162 7.0149 90.00 90.00 120.00
Fractional positions:
Pr 0.0000 0.0000 0.0000
Pr 0.0000 0.0000 0.5000
Pr 0.3333 0.6667 0.2500
Pr 0.6667 0.3333 0.7500
In 0.3333 0.6667 0.7500
In 0.6667 0.3333 0.2500

Values from the calculation:
Total DFT energy (no corrections) (eV/cell): -26.64
Formation energy from the elements (eV per atom): -0.335

***

Density functional theory data (PBE-GGA) for an optimized crystal structure of CeUO4.

Lattice parameters (Å, degrees): 3.8355 3.8355 5.4748 90.00 90.00 90.00
Fractional positions:
Ce 0.0000 0.0000 0.0000
U 0.5000 0.5000 0.5000
O 0.0000 0.5000 0.2619
O 0.0000 0.5000 0.7381
O 0.5000 0.0000 0.2619
O 0.5000 0.0000 0.7381

Values from the calculation:
Total DFT energy (no corrections) (eV/cell): -57.63
Formation energy from the elements (eV per atom): -3.894

***

Density functional theory data (PBE-GGA) for an optimized crystal structure of PrFe4P12.

Lattice parameters (Å, degrees): 6.7713 6.7713 6.7713 109.47 109.47 109.47
Fractional positions:
Pr 0.0000 0.0000 0.0000
Fe 0.0000 0.0000 0.5000
Fe 0.0000 0.5000 0.0000
Fe 0.5000 0.0000 0.0000
Fe 0.5000 0.5000 0.5000
P 0.1518 0.3534 0.5053
P 0.1518 0.6466 0.7984
P 0.2016 0.8482 0.3534
P 0.3534 0.2016 0.8482
P 0.3534 0.5053 0.1518
P 0.4947 0.8482 0.6466
P 0.5053 0.1518 0.3534
P 0.6466 0.4947 0.8482
P 0.6466 0.7984 0.1518
P 0.7984 0.1518 0.6466
P 0.8482 0.3534 0.2016
P 0.8482 0.6466 0.4947

Values from the calculation:
Total DFT energy (no corrections) (eV/cell): -113.69
Formation energy from the elements (eV per atom): -0.592

***

Density functional theory data (PBE-GGA) for an optimized crystal structure of Na3Pt.

Lattice parameters (Å, degrees): 6.3807 6.3807 5.1590 90.00 90.00 120.00
Fractional positions:
Na 0.1782 0.3565 0.2500
Na 0.1782 0.8218 0.2500
Na 0.3565 0.1782 0.7500
Na 0.6435 0.8218 0.2500
Na 0.8218 0.1782 0.7500
Na 0.8218 0.6435 0.7500
Pt 0.3333 0.6667 0.7500
Pt 0.6667 0.3333 0.2500

Values from the calculation:
Total DFT energy (no corrections) (eV/cell): -20.36
Formation energy from the elements (eV per atom): -0.035